[1]
This record from the Materials Project describes crystalline Na2B4O7 at its relaxed geometry. The functional is GGA-PBE.

- MP2020-corrected energy (eV/atom) = -7.65
- space group = No. 154
- formation energy from the elements (eV/atom) = -2.725

Unit cell a=7.729 b=7.729 c=21.692 alpha=90.00 beta=90.00 gamma=120.00
Positions (direct):
Na  0.000  0.324  0.333
Na  0.000  0.369  0.833
Na  0.005  0.355  0.161
Na  0.019  0.313  0.999
Na  0.294  0.981  0.332
Na  0.313  0.019  0.001
Na  0.324  0.000  0.667
Na  0.350  0.995  0.494
Na  0.355  0.005  0.839
Na  0.369  0.000  0.167
Na  0.631  0.631  0.500
Na  0.645  0.650  0.827
Na  0.650  0.645  0.173
Na  0.676  0.676  0.000
Na  0.687  0.706  0.666
Na  0.706  0.687  0.334
Na  0.981  0.294  0.668
Na  0.995  0.350  0.506
B  0.005  0.015  0.563
B  0.009  0.656  0.428
B  0.010  0.995  0.897
B  0.011  0.682  0.084
B  0.013  0.674  0.927
B  0.015  0.005  0.437
B  0.314  0.652  0.259
B  0.318  0.328  0.751
B  0.325  0.658  0.387
B  0.326  0.339  0.594
B  0.328  0.318  0.249
B  0.333  0.675  0.720
B  0.338  0.686  0.593
B  0.339  0.326  0.406
B  0.342  0.667  0.054
B  0.344  0.353  0.095
B  0.348  0.662  0.926
B  0.353  0.344  0.905
B  0.647  0.991  0.762
B  0.652  0.314  0.741
B  0.656  0.009  0.572
B  0.658  0.325  0.613
B  0.661  0.987  0.260
B  0.662  0.348  0.074
B  0.667  0.342  0.946
B  0.672  0.989  0.417
B  0.674  0.013  0.073
B  0.675  0.333  0.280
B  0.682  0.011  0.916
B  0.686  0.338  0.407
B  0.985  0.990  0.230
B  0.987  0.661  0.740
B  0.989  0.672  0.583
B  0.990  0.985  0.770
B  0.991  0.647  0.238
B  0.995  0.010  0.103
O  0.000  0.933  0.833
O  0.051  0.861  0.731
O  0.067  0.067  0.500
O  0.079  0.856  0.419
O  0.088  0.887  0.088
O  0.113  0.201  0.755
O  0.114  0.585  0.733
O  0.131  0.604  0.071
O  0.139  0.189  0.398
O  0.141  0.585  0.425
O  0.144  0.222  0.085
O  0.189  0.139  0.602
O  0.189  0.714  0.223
O  0.190  0.745  0.572
O  0.201  0.113  0.245
O  0.212  0.743  0.913
O  0.222  0.144  0.915
O  0.255  0.445  0.239
O  0.257  0.470  0.580
O  0.261  0.653  0.324
O  0.286  0.475  0.889
O  0.347  0.608  0.990
O  0.392  0.739  0.657
O  0.396  0.527  0.737
O  0.415  0.529  0.399
O  0.415  0.556  0.092
O  0.444  0.859  0.759
O  0.445  0.255  0.761
O  0.470  0.257  0.420
O  0.471  0.886  0.066
O  0.473  0.869  0.404
O  0.475  0.286  0.111
O  0.525  0.811  0.556
O  0.527  0.396  0.263
O  0.529  0.415  0.601
O  0.530  0.788  0.246
O  0.555  0.810  0.905
O  0.556  0.415  0.908
O  0.585  0.114  0.267
O  0.585  0.141  0.575
O  0.604  0.131  0.929
O  0.608  0.347  0.010
O  0.653  0.261  0.676
O  0.714  0.189  0.777
O  0.739  0.392  0.343
O  0.743  0.212  0.087
O  0.745  0.190  0.428
O  0.778  0.921  0.752
O  0.788  0.530  0.754
O  0.799  0.912  0.422
O  0.810  0.555  0.095
O  0.811  0.525  0.444
O  0.811  0.949  0.065
O  0.856  0.079  0.581
O  0.859  0.444  0.241
O  0.861  0.051  0.269
O  0.869  0.473  0.596
O  0.886  0.471  0.934
O  0.887  0.088  0.912
O  0.912  0.799  0.578
O  0.921  0.778  0.248
O  0.933  0.000  0.167
O  0.949  0.811  0.935



[2]
This record from the Materials Project describes crystalline KAlH6O2F6 at its relaxed geometry. The functional is GGA-PBE.

- MP2020-corrected energy (eV/atom) = -5.25
- space group = No. 205
- formation energy from the elements (eV/atom) = -2.339

Unit cell a=8.729 b=8.729 c=8.729 alpha=90.00 beta=90.00 gamma=90.00
Positions (direct):
K  0.000  0.000  0.000
K  0.000  0.500  0.500
K  0.500  0.000  0.500
K  0.500  0.500  0.000
Al  0.000  0.000  0.500
Al  0.000  0.500  0.000
Al  0.500  0.000  0.000
Al  0.500  0.500  0.500
H  0.141  0.198  0.702
H  0.141  0.302  0.202
H  0.198  0.702  0.141
H  0.198  0.798  0.641
H  0.202  0.141  0.302
H  0.202  0.359  0.802
H  0.298  0.641  0.302
H  0.298  0.859  0.802
H  0.302  0.202  0.141
H  0.302  0.298  0.641
H  0.359  0.698  0.702
H  0.359  0.802  0.202
H  0.641  0.198  0.798
H  0.641  0.302  0.298
H  0.698  0.702  0.359
H  0.698  0.798  0.859
H  0.702  0.141  0.198
H  0.702  0.359  0.698
H  0.798  0.641  0.198
H  0.798  0.859  0.698
H  0.802  0.202  0.359
H  0.802  0.298  0.859
H  0.859  0.698  0.798
H  0.859  0.802  0.298
O  0.198  0.198  0.198
O  0.198  0.302  0.698
O  0.302  0.698  0.198
O  0.302  0.802  0.698
O  0.698  0.198  0.302
O  0.698  0.302  0.802
O  0.802  0.698  0.302
O  0.802  0.802  0.802
F  0.050  0.061  0.695
F  0.050  0.439  0.195
F  0.061  0.695  0.050
F  0.061  0.805  0.550
F  0.195  0.050  0.439
F  0.195  0.450  0.939
F  0.305  0.550  0.439
F  0.305  0.950  0.939
F  0.439  0.195  0.050
F  0.439  0.305  0.550
F  0.450  0.561  0.695
F  0.450  0.939  0.195
F  0.550  0.061  0.805
F  0.550  0.439  0.305
F  0.561  0.695  0.450
F  0.561  0.805  0.950
F  0.695  0.050  0.061
F  0.695  0.450  0.561
F  0.805  0.550  0.061
F  0.805  0.950  0.561
F  0.939  0.195  0.450
F  0.939  0.305  0.950
F  0.950  0.561  0.805
F  0.950  0.939  0.305



[3]
This record from the Materials Project describes crystalline Zr2Ga3Co at its relaxed geometry. The functional is GGA-PBE.

- space group = No. 1
- formation energy from the elements (eV/atom) = -0.503

Unit cell a=6.386 b=7.767 c=7.774 alpha=63.47 beta=66.64 gamma=66.66
Positions (direct):
Zr  0.000  0.000  0.000
Zr  0.000  0.499  0.473
Zr  0.427  0.576  0.545
Zr  0.451  0.054  0.049
Zr  0.557  0.281  0.271
Zr  0.568  0.787  0.764
Ga  0.032  0.414  0.883
Ga  0.046  0.792  0.760
Ga  0.053  0.249  0.261
Ga  0.331  0.694  0.181
Ga  0.335  0.193  0.678
Ga  0.656  0.376  0.856
Ga  0.673  0.873  0.362
Ga  0.785  0.647  0.144
Ga  0.789  0.151  0.624
Co  0.025  0.893  0.404
Co  0.242  0.526  0.020
Co  0.266  0.030  0.514



[4]
This record from the Materials Project describes crystalline K4U3As2O16 at its relaxed geometry. The functional is GGA-PBE.

- MP2020-corrected energy (eV/atom) = -7.92
- space group = No. 14
- formation energy from the elements (eV/atom) = -2.849

Unit cell a=7.027 b=17.550 c=7.191 alpha=90.00 beta=98.51 gamma=90.00
Positions (direct):
K  0.038  0.052  0.258
K  0.038  0.448  0.758
K  0.170  0.201  0.777
K  0.170  0.299  0.277
K  0.830  0.701  0.723
K  0.830  0.799  0.223
K  0.962  0.552  0.242
K  0.962  0.948  0.742
U  0.431  0.602  0.984
U  0.431  0.898  0.484
U  0.500  0.000  0.000
U  0.500  0.500  0.500
U  0.569  0.102  0.516
U  0.569  0.398  0.016
As  0.299  0.681  0.471
As  0.299  0.819  0.971
As  0.701  0.181  0.029
As  0.701  0.319  0.529
O  0.058  0.688  0.452
O  0.058  0.812  0.952
O  0.167  0.585  0.940
O  0.167  0.915  0.440
O  0.248  0.033  0.958
O  0.248  0.467  0.458
O  0.309  0.126  0.482
O  0.309  0.374  0.982
O  0.370  0.621  0.302
O  0.370  0.879  0.802
O  0.415  0.626  0.656
O  0.415  0.874  0.156
O  0.417  0.733  0.975
O  0.417  0.767  0.475
O  0.484  0.002  0.315
O  0.484  0.498  0.815
O  0.516  0.502  0.185
O  0.516  0.998  0.685
O  0.583  0.233  0.525
O  0.583  0.267  0.025
O  0.585  0.126  0.844
O  0.585  0.374  0.344
O  0.630  0.121  0.198
O  0.630  0.379  0.698
O  0.691  0.626  0.018
O  0.691  0.874  0.518
O  0.752  0.533  0.542
O  0.752  0.967  0.042
O  0.833  0.085  0.560
O  0.833  0.415  0.060
O  0.942  0.188  0.048
O  0.942  0.312  0.548



[5]
This record from the Materials Project describes crystalline NdGaSi at its relaxed geometry. The functional is GGA-PBE.

- MP2020-corrected energy (eV/atom) = -5.08
- space group = No. 109
- formation energy from the elements (eV/atom) = -0.673

Unit cell a=7.767 b=7.767 c=7.767 alpha=148.48 beta=148.48 gamma=45.17
Positions (direct):
Nd  0.000  0.000  0.000
Nd  0.750  0.250  0.500
Ga  0.166  0.666  0.500
Ga  0.416  0.416  0.000
Si  0.334  0.834  0.500
Si  0.584  0.584  0.000